Zr5Sn3Se: relaxed, r²SCAN.

Properties
The formation energy is -0.89 eV per atom. The calculation puts the total energy at -23.367 eV per atom. For the spin magnetization, the calculation gives 0.000 μB/cell.

a b c (Å): 8.6222 8.6222 6.0589
angles (deg): 90.00 90.00 120.00
Last column: nearest neighbours and their distance in Å.
Space group P6_3/mcm (No. 193)
Symmetry-distinct sites (fractional):
Zr 0.0000 0.2629 0.2500 [6 per cell]  2 Se 2.73, 3 Sn 2.94-3.01
Zr 0.3333 0.6667 0.0000 [4 per cell]  2 Zr 3.03, 6 Sn 3.05
Sn 0.0000 0.3960 0.7500 [6 per cell]  9 Zr 2.94-3.24
Se 0.0000 0.0000 0.0000 [2 per cell]  6 Zr 2.73, 2 Se 3.03